The following is a DFT calculation (PBE-GGA) of Cs2UTa6Cl15O3 after structural relaxation.

Computed properties:
Total DFT energy (no corrections), eV for the cell shown: -344.660
SG: P-31c
Calculated formation energy, kJ/mol of formula units: -4592
Magnetization, μB per formula unit: 3.77

The structure in POSCAR format:
```
Cs2UTa6Cl15O3
1.0
3.8654 8.0362 2.4260
-8.2083 -2.4193 3.4898
7.9328 -7.8134 13.2420
Cs U Ta Cl O
4 2 12 30 6
Direct
0.3333 0.6667 0.4539
0.6667 0.3333 0.9539
0.3333 0.6667 0.0461
0.6667 0.3333 0.5461
0.3333 0.6667 0.7500
0.6667 0.3333 0.2500
0.1910 0.0134 0.1828
0.9866 0.1776 0.1828
0.8090 0.8224 0.6828
0.1776 0.1910 0.8172
0.8224 0.0134 0.3172
0.1910 0.1776 0.3172
0.0134 0.8224 0.8172
0.8090 0.9866 0.8172
0.9866 0.8090 0.3172
0.0134 0.1910 0.6828
0.8224 0.8090 0.1828
0.1776 0.9866 0.6828
0.9272 0.5310 0.3840
0.5310 0.9272 0.8840
0.5310 0.6038 0.6160
0.3962 0.4690 0.8840
0.2051 0.9848 0.4139
0.0728 0.4690 0.6160
0.7797 0.9848 0.0861
0.9848 0.2051 0.9139
0.2051 0.2203 0.0861
0.9848 0.7797 0.5861
0.2203 0.2051 0.5861
0.0152 0.7949 0.0861
0.2125 0.4251 0.2500
0.6038 0.5310 0.1160
0.2203 0.0152 0.9139
0.6038 0.0728 0.3840
0.5749 0.7875 0.2500
0.3962 0.9272 0.6160
0.7797 0.7949 0.4139
0.7949 0.0152 0.5861
0.0728 0.6038 0.8840
0.4690 0.0728 0.1160
0.4251 0.2125 0.7500
0.0152 0.2203 0.4139
0.7875 0.5749 0.7500
0.9272 0.3962 0.1160
0.2125 0.7875 0.2500
0.7875 0.2125 0.7500
0.7949 0.7797 0.9139
0.4690 0.3962 0.3840
0.8119 0.1881 0.2500
0.3761 0.1881 0.2500
0.1881 0.3761 0.7500
0.8119 0.6239 0.2500
0.6239 0.8119 0.7500
0.1881 0.8119 0.7500
```

***

The following is a DFT calculation (PBE-GGA) of Cs2UCl4O2 after structural relaxation.

Computed properties:
Total DFT energy (no corrections), eV for the cell shown: -50.850
SG: C2/m
Calculated formation energy, kJ/mol of formula units: -2108
Magnetization, μB per formula unit: 0.00

The structure in POSCAR format:
```
Cs2UCl4O2
1.0
-7.1979 -0.8046 -0.7229
-2.4290 -6.7846 1.0244
-1.5141 0.4706 5.7428
Cs U Cl O
2 1 4 2
Direct
0.6662 0.6662 0.6780
0.3338 0.3338 0.3220
0.0000 0.0000 0.0000
0.1483 0.6530 0.7989
0.3470 0.8517 0.2011
0.8517 0.3470 0.2011
0.6530 0.1483 0.7989
0.1163 0.1163 0.7661
0.8837 0.8837 0.2339
```

***

The following is a DFT calculation (PBE-GGA) of CsUCl4O3 after structural relaxation.

Computed properties:
Total DFT energy (no corrections), eV for the cell shown: -93.401
SG: P2_1/m
Calculated formation energy, kJ/mol of formula units: -1383
Magnetization, μB per formula unit: 3.00

The structure in POSCAR format:
```
CsUCl4O3
1.0
-3.1987 0.9019 8.8507
1.3152 -6.7096 1.1590
7.3219 0.7188 2.5730
Cs U Cl O
2 2 8 6
Direct
0.2500 0.0347 0.2223
0.7500 0.9653 0.7777
0.2500 0.4148 0.6245
0.7500 0.5852 0.3755
0.5589 0.2662 0.4446
0.0589 0.7338 0.5554
0.4411 0.7338 0.5554
0.9411 0.2662 0.4446
0.5465 0.6981 0.1263
0.0465 0.3019 0.8737
0.4535 0.3019 0.8737
0.9535 0.6981 0.1263
0.2500 0.4453 0.3842
0.7500 0.5547 0.6158
0.2500 0.1488 0.6121
0.7500 0.8512 0.3879
0.2500 0.5924 0.7957
0.7500 0.4076 0.2043
```